Entry 1:
{"formula": "CsVF4", "functional": "PBE+U", "state": "relaxed", "space_group": "No. 59", "delta_e_f_ev_per_fu": -19.26, "dft_energy_ev_per_atom": -5.5585, "cell": [[7.937, 0.000, 0.000], [0.000, 7.939, 0.000], [0.000, 0.000, 6.704]], "species": ["Cs", "Cs", "Cs", "Cs", "V", "V", "V", "V", "F", "F", "F", "F", "F", "F", "F", "F", "F", "F", "F", "F", "F", "F", "F", "F"], "frac_coords": [[0.250, 0.250, 0.004], [0.250, 0.750, 0.960], [0.750, 0.250, 0.040], [0.750, 0.750, 0.996], [0.000, 0.000, 0.500], [0.000, 0.500, 0.500], [0.500, 0.000, 0.500], [0.500, 0.500, 0.500], [0.017, 0.522, 0.214], [0.017, 0.978, 0.214], [0.036, 0.250, 0.469], [0.250, 0.535, 0.530], [0.250, 0.965, 0.530], [0.464, 0.250, 0.469], [0.483, 0.522, 0.214], [0.483, 0.978, 0.214], [0.517, 0.022, 0.786], [0.517, 0.478, 0.786], [0.536, 0.750, 0.531], [0.750, 0.035, 0.470], [0.750, 0.465, 0.470], [0.964, 0.750, 0.531], [0.983, 0.022, 0.786], [0.983, 0.478, 0.786]]}



Entry 2:
{"formula": "Zn2Ni2O5", "functional": "PBE+U", "state": "relaxed", "magnetic_moment_mub_per_cell": 3.995, "space_group": "No. 55", "delta_e_f_ev_per_fu": -9.46, "dft_energy_ev_per_atom": -4.4179, "cell": [[5.246, 0.000, 0.000], [0.000, 10.337, 0.000], [0.000, 0.000, 3.677]], "species": ["Zn", "Zn", "Zn", "Zn", "Ni", "Ni", "Ni", "Ni", "O", "O", "O", "O", "O", "O", "O", "O", "O", "O"], "frac_coords": [[0.231, 0.099, 0.000], [0.269, 0.599, 0.000], [0.731, 0.401, 0.000], [0.769, 0.901, 0.000], [0.226, 0.863, 0.500], [0.274, 0.363, 0.500], [0.726, 0.637, 0.500], [0.774, 0.137, 0.500], [0.000, 0.500, 0.500], [0.151, 0.181, 0.500], [0.191, 0.902, 0.000], [0.309, 0.402, 0.000], [0.349, 0.681, 0.500], [0.500, 0.000, 0.500], [0.651, 0.319, 0.500], [0.691, 0.598, 0.000], [0.809, 0.098, 0.000], [0.849, 0.819, 0.500]]}



Entry 3:
{"formula": "Li9Mn2Co5O16", "functional": "PBE+U", "state": "relaxed", "magnetic_moment_mub_per_cell": 10.000, "space_group": "No. 1", "delta_e_f_ev_per_fu": -57.75, "dft_energy_ev_per_atom": -5.7950, "cell": [[2.948, 0.000, 0.000], [1.143, 9.689, 0.000], [0.437, 0.732, 10.114]], "species": ["Li", "Li", "Li", "Li", "Li", "Li", "Li", "Li", "Li", "Mn", "Mn", "Co", "Co", "Co", "Co", "Co", "O", "O", "O", "O", "O", "O", "O", "O", "O", "O", "O", "O", "O", "O", "O", "O"], "frac_coords": [[0.000, 0.000, 0.000], [0.004, 0.999, 0.498], [0.139, 0.741, 0.688], [0.235, 0.505, 0.868], [0.252, 0.501, 0.378], [0.490, 0.999, 0.743], [0.499, 0.002, 0.251], [0.741, 0.508, 0.628], [0.760, 0.493, 0.126], [0.117, 0.753, 0.190], [0.618, 0.749, 0.929], [0.372, 0.249, 0.562], [0.372, 0.251, 0.062], [0.630, 0.752, 0.449], [0.872, 0.255, 0.314], [0.874, 0.247, 0.810], [0.040, 0.866, 0.343], [0.084, 0.860, 0.853], [0.150, 0.643, 0.026], [0.213, 0.635, 0.522], [0.309, 0.360, 0.716], [0.311, 0.370, 0.221], [0.429, 0.140, 0.407], [0.445, 0.133, 0.901], [0.529, 0.866, 0.089], [0.563, 0.865, 0.575], [0.687, 0.631, 0.794], [0.704, 0.639, 0.288], [0.779, 0.364, 0.472], [0.805, 0.364, 0.972], [0.947, 0.136, 0.155], [0.965, 0.131, 0.652]]}



Entry 4:
{"formula": "Li3Cr4O8", "functional": "PBE+U", "state": "relaxed", "magnetic_moment_mub_per_cell": 4.002, "space_group": "No. 12", "delta_e_f_ev_per_fu": -34.74, "dft_energy_ev_per_atom": -7.0111, "cell": [[5.095, -2.960, 0.000], [5.095, 2.960, 0.000], [-3.406, 0.000, 9.801]], "species": ["Li", "Li", "Li", "Li", "Li", "Li", "Cr", "Cr", "Cr", "Cr", "Cr", "Cr", "Cr", "Cr", "O", "O", "O", "O", "O", "O", "O", "O", "O", "O", "O", "O", "O", "O", "O", "O"], "frac_coords": [[0.249, 0.750, 0.750], [0.250, 0.751, 0.250], [0.251, 0.251, 0.750], [0.749, 0.749, 0.250], [0.750, 0.249, 0.750], [0.751, 0.250, 0.250], [0.000, 0.000, 0.000], [0.000, 0.000, 0.500], [0.000, 0.500, 0.000], [0.000, 0.500, 0.500], [0.500, 0.000, 0.000], [0.500, 0.000, 0.500], [0.500, 0.500, 0.000], [0.500, 0.500, 0.500], [0.123, 0.646, 0.392], [0.125, 0.125, 0.393], [0.130, 0.130, 0.888], [0.144, 0.625, 0.892], [0.354, 0.877, 0.608], [0.371, 0.371, 0.612], [0.375, 0.856, 0.108], [0.377, 0.377, 0.107], [0.623, 0.623, 0.893], [0.625, 0.144, 0.892], [0.629, 0.629, 0.388], [0.646, 0.123, 0.392], [0.856, 0.375, 0.108], [0.870, 0.870, 0.112], [0.875, 0.875, 0.607], [0.877, 0.354, 0.608]]}



Entry 5:
{"formula": "CaMo2O4", "functional": "PBE+U", "state": "relaxed", "space_group": "No. 62", "delta_e_f_ev_per_fu": -16.03, "dft_energy_ev_per_atom": -7.1946, "cell": [[9.594, 0.000, 0.000], [0.000, 3.241, 0.000], [0.000, 0.000, 11.404]], "species": ["Ca", "Ca", "Ca", "Ca", "Mo", "Mo", "Mo", "Mo", "Mo", "Mo", "Mo", "Mo", "O", "O", "O", "O", "O", "O", "O", "O", "O", "O", "O", "O", "O", "O", "O", "O"], "frac_coords": [[0.239, 0.250, 0.156], [0.261, 0.750, 0.656], [0.739, 0.250, 0.344], [0.761, 0.750, 0.844], [0.059, 0.250, 0.383], [0.089, 0.250, 0.899], [0.411, 0.750, 0.399], [0.441, 0.750, 0.883], [0.559, 0.250, 0.117], [0.589, 0.250, 0.601], [0.911, 0.750, 0.101], [0.941, 0.750, 0.617], [0.033, 0.750, 0.787], [0.087, 0.250, 0.575], [0.122, 0.750, 0.029], [0.199, 0.750, 0.325], [0.301, 0.250, 0.825], [0.378, 0.250, 0.529], [0.413, 0.750, 0.075], [0.467, 0.250, 0.287], [0.533, 0.750, 0.713], [0.587, 0.250, 0.925], [0.622, 0.750, 0.471], [0.699, 0.750, 0.175], [0.801, 0.250, 0.675], [0.878, 0.250, 0.971], [0.913, 0.750, 0.425], [0.967, 0.250, 0.213]]}



Entry 6:
{"formula": "Li3Co3Ge6O16", "functional": "PBE+U", "state": "relaxed", "magnetic_moment_mub_per_cell": 17.029, "space_group": "No. 4", "delta_e_f_ev_per_fu": -55.19, "dft_energy_ev_per_atom": -6.1871, "cell": [[8.409, 0.000, 0.000], [0.000, 8.421, 0.000], [-0.009, 0.000, 8.421]], "species": ["Li", "Li", "Li", "Li", "Li", "Li", "Co", "Co", "Co", "Co", "Co", "Co", "Ge", "Ge", "Ge", "Ge", "Ge", "Ge", "Ge", "Ge", "Ge", "Ge", "Ge", "Ge", "O", "O", "O", "O", "O", "O", "O", "O", "O", "O", "O", "O", "O", "O", "O", "O", "O", "O", "O", "O", "O", "O", "O", "O", "O", "O", "O", "O", "O", "O", "O", "O"], "frac_coords": [[0.001, 0.000, 0.250], [0.123, 0.625, 0.123], [0.373, 0.375, 0.626], [0.627, 0.875, 0.374], [0.877, 0.125, 0.877], [0.999, 0.500, 0.750], [0.247, 0.251, 0.999], [0.251, 0.747, 0.498], [0.497, 0.502, 0.252], [0.503, 0.002, 0.748], [0.749, 0.247, 0.502], [0.753, 0.751, 0.001], [0.121, 0.871, 0.881], [0.124, 0.131, 0.627], [0.126, 0.375, 0.379], [0.368, 0.621, 0.874], [0.371, 0.872, 0.127], [0.375, 0.125, 0.378], [0.625, 0.625, 0.622], [0.629, 0.372, 0.873], [0.632, 0.121, 0.126], [0.874, 0.875, 0.621], [0.876, 0.631, 0.373], [0.879, 0.371, 0.119], [0.104, 0.372, 0.146], [0.107, 0.601, 0.378], [0.112, 0.888, 0.638], [0.121, 0.352, 0.605], [0.129, 0.105, 0.852], [0.140, 0.138, 0.389], [0.145, 0.879, 0.101], [0.148, 0.645, 0.871], [0.353, 0.356, 0.372], [0.357, 0.121, 0.603], [0.364, 0.862, 0.887], [0.372, 0.893, 0.352], [0.378, 0.647, 0.106], [0.389, 0.112, 0.138], [0.395, 0.396, 0.878], [0.399, 0.627, 0.643], [0.601, 0.127, 0.357], [0.605, 0.896, 0.122], [0.611, 0.612, 0.862], [0.622, 0.147, 0.894], [0.628, 0.393, 0.648], [0.636, 0.362, 0.113], [0.643, 0.621, 0.397], [0.647, 0.856, 0.628], [0.852, 0.145, 0.129], [0.855, 0.379, 0.899], [0.860, 0.638, 0.611], [0.871, 0.605, 0.148], [0.879, 0.852, 0.395], [0.888, 0.388, 0.362], [0.893, 0.101, 0.622], [0.896, 0.872, 0.854]]}



Entry 7:
{"formula": "Ba2MgCoWO6", "functional": "PBE+U", "state": "relaxed", "magnetic_moment_mub_per_cell": 4.998, "space_group": "No. 12", "delta_e_f_ev_per_fu": -24.71, "dft_energy_ev_per_atom": -6.3370, "cell": [[4.073, -5.292, 0.000], [4.073, 5.292, 0.000], [-3.979, 0.000, 4.078]], "species": ["Ba", "Ba", "Mg", "Co", "W", "O", "O", "O", "O", "O", "O"], "frac_coords": [[0.187, 0.813, 0.000], [0.813, 0.187, 0.000], [0.500, 0.500, 0.000], [0.500, 0.500, 0.500], [0.000, 0.000, 0.500], [0.195, 0.805, 0.500], [0.265, 0.265, 0.016], [0.265, 0.265, 0.515], [0.735, 0.735, 0.485], [0.735, 0.735, 0.984], [0.805, 0.195, 0.500]]}



Entry 8:
{"formula": "Mn6O5F7", "functional": "PBE+U", "state": "relaxed", "magnetic_moment_mub_per_cell": 50.001, "space_group": "No. 7", "delta_e_f_ev_per_fu": -43.25, "dft_energy_ev_per_atom": -6.6492, "cell": [[4.707, 0.000, 0.000], [0.000, 5.734, 0.000], [-0.324, 0.000, 15.591]], "species": ["Mn", "Mn", "Mn", "Mn", "Mn", "Mn", "Mn", "Mn", "Mn", "Mn", "Mn", "Mn", "O", "O", "O", "O", "O", "O", "O", "O", "O", "O", "F", "F", "F", "F", "F", "F", "F", "F", "F", "F", "F", "F", "F", "F"], "frac_coords": [[0.000, 0.138, 0.000], [0.000, 0.862, 0.500], [0.030, 0.157, 0.666], [0.030, 0.843, 0.166], [0.528, 0.349, 0.172], [0.528, 0.651, 0.672], [0.530, 0.334, 0.509], [0.530, 0.666, 0.009], [0.537, 0.347, 0.846], [0.537, 0.653, 0.346], [0.966, 0.160, 0.335], [0.966, 0.840, 0.835], [0.321, 0.377, 0.617], [0.321, 0.623, 0.117], [0.726, 0.391, 0.401], [0.726, 0.609, 0.901], [0.790, 0.109, 0.893], [0.790, 0.891, 0.393], [0.797, 0.109, 0.223], [0.797, 0.891, 0.723], [0.809, 0.111, 0.558], [0.809, 0.889, 0.058], [0.247, 0.130, 0.438], [0.247, 0.870, 0.938], [0.266, 0.123, 0.780], [0.266, 0.877, 0.280], [0.267, 0.123, 0.104], [0.267, 0.877, 0.604], [0.272, 0.377, 0.955], [0.272, 0.623, 0.455], [0.278, 0.390, 0.285], [0.278, 0.610, 0.785], [0.770, 0.389, 0.064], [0.770, 0.611, 0.564], [0.774, 0.400, 0.733], [0.774, 0.600, 0.233]]}



Entry 9:
{"formula": "KMn4P3O12", "functional": "PBE+U", "state": "relaxed", "magnetic_moment_mub_per_cell": 79.999, "space_group": "No. 58", "delta_e_f_ev_per_fu": -51.29, "dft_energy_ev_per_atom": -7.4873, "cell": [[10.029, 0.000, 0.000], [0.000, 16.890, 0.000], [0.000, 0.000, 6.449]], "species": ["K", "K", "K", "K", "Mn", "Mn", "Mn", "Mn", "Mn", "Mn", "Mn", "Mn", "Mn", "Mn", "Mn", "Mn", "Mn", "Mn", "Mn", "Mn", "P", "P", "P", "P", "P", "P", "P", "P", "P", "P", "P", "P", "O", "O", "O", "O", "O", "O", "O", "O", "O", "O", "O", "O", "O", "O", "O", "O", "O", "O", "O", "O", "O", "O", "O", "O", "O", "O", "O", "O", "O", "O", "O", "O", "O", "O", "O", "O", "O", "O", "O", "O", "O", "O", "O", "O", "O", "O", "O", "O"], "frac_coords": [[0.212, 0.036, 0.000], [0.288, 0.536, 0.500], [0.712, 0.464, 0.500], [0.788, 0.964, 0.000], [0.023, 0.139, 0.500], [0.040, 0.596, 0.000], [0.247, 0.799, 0.248], [0.247, 0.799, 0.752], [0.253, 0.299, 0.252], [0.253, 0.299, 0.748], [0.460, 0.096, 0.500], [0.477, 0.639, 0.000], [0.523, 0.361, 0.000], [0.540, 0.904, 0.500], [0.747, 0.701, 0.252], [0.747, 0.701, 0.748], [0.753, 0.201, 0.248], [0.753, 0.201, 0.752], [0.960, 0.404, 0.000], [0.977, 0.861, 0.500], [0.041, 0.668, 0.500], [0.042, 0.214, 0.000], [0.216, 0.964, 0.500], [0.284, 0.464, 0.000], [0.458, 0.714, 0.500], [0.459, 0.168, 0.000], [0.541, 0.832, 0.000], [0.542, 0.286, 0.500], [0.716, 0.536, 0.000], [0.784, 0.036, 0.500], [0.958, 0.786, 0.000], [0.959, 0.332, 0.500], [0.083, 0.623, 0.305], [0.083, 0.623, 0.695], [0.092, 0.173, 0.198], [0.092, 0.173, 0.802], [0.107, 0.300, 0.000], [0.112, 0.754, 0.500], [0.113, 0.775, 0.000], [0.114, 0.316, 0.500], [0.130, 0.478, 0.000], [0.148, 0.045, 0.500], [0.173, 0.914, 0.307], [0.173, 0.914, 0.693], [0.327, 0.414, 0.193], [0.327, 0.414, 0.807], [0.352, 0.545, 0.000], [0.370, 0.978, 0.500], [0.386, 0.816, 0.000], [0.387, 0.275, 0.500], [0.388, 0.254, 0.000], [0.393, 0.800, 0.500], [0.408, 0.673, 0.302], [0.408, 0.673, 0.698], [0.417, 0.123, 0.195], [0.417, 0.123, 0.805], [0.583, 0.877, 0.195], [0.583, 0.877, 0.805], [0.592, 0.327, 0.302], [0.592, 0.327, 0.698], [0.607, 0.200, 0.500], [0.612, 0.746, 0.000], [0.613, 0.725, 0.500], [0.614, 0.184, 0.000], [0.630, 0.022, 0.500], [0.648, 0.455, 0.000], [0.673, 0.586, 0.193], [0.673, 0.586, 0.807], [0.827, 0.086, 0.307], [0.827, 0.086, 0.693], [0.852, 0.955, 0.500], [0.870, 0.522, 0.000], [0.886, 0.684, 0.500], [0.887, 0.225, 0.000], [0.888, 0.246, 0.500], [0.893, 0.700, 0.000], [0.908, 0.827, 0.198], [0.908, 0.827, 0.802], [0.917, 0.377, 0.305], [0.917, 0.377, 0.695]]}



Entry 10:
{"formula": "Li4Ti3Fe3Co2O16", "functional": "PBE+U", "state": "relaxed", "magnetic_moment_mub_per_cell": 13.999, "space_group": "No. 8", "delta_e_f_ev_per_fu": -62.55, "dft_energy_ev_per_atom": -6.8440, "cell": [[5.130, -2.979, 0.000], [5.130, 2.979, 0.000], [-0.135, 0.000, 9.619]], "species": ["Li", "Li", "Li", "Li", "Ti", "Ti", "Ti", "Fe", "Fe", "Fe", "Co", "Co", "O", "O", "O", "O", "O", "O", "O", "O", "O", "O", "O", "O", "O", "O", "O", "O"], "frac_coords": [[0.000, 0.000, 0.000], [0.003, 0.003, 0.497], [0.332, 0.332, 0.597], [0.666, 0.666, 0.101], [0.172, 0.172, 0.276], [0.340, 0.829, 0.779], [0.829, 0.340, 0.779], [0.171, 0.661, 0.282], [0.661, 0.171, 0.282], [0.831, 0.831, 0.777], [0.338, 0.338, 0.005], [0.677, 0.677, 0.502], [0.001, 0.001, 0.187], [0.004, 0.004, 0.682], [0.037, 0.476, 0.157], [0.170, 0.170, 0.890], [0.172, 0.677, 0.889], [0.330, 0.330, 0.392], [0.333, 0.835, 0.393], [0.476, 0.037, 0.157], [0.477, 0.477, 0.150], [0.515, 0.957, 0.652], [0.519, 0.519, 0.661], [0.665, 0.665, 0.890], [0.677, 0.172, 0.889], [0.835, 0.333, 0.393], [0.835, 0.835, 0.400], [0.957, 0.515, 0.652]]}



Entry 11:
{"formula": "Mg6MnCO8", "functional": "PBE+U", "state": "relaxed", "magnetic_moment_mub_per_cell": 4.999, "space_group": "No. 123", "delta_e_f_ev_per_fu": -36.44, "dft_energy_ev_per_atom": -6.0535, "cell": [[4.255, 0.000, 0.000], [0.000, 4.255, 0.000], [0.000, 0.000, 8.596]], "species": ["Mg", "Mg", "Mg", "Mg", "Mg", "Mg", "Mn", "C", "O", "O", "O", "O", "O", "O", "O", "O"], "frac_coords": [[0.000, 0.000, 0.000], [0.000, 0.000, 0.500], [0.000, 0.500, 0.242], [0.000, 0.500, 0.758], [0.500, 0.000, 0.242], [0.500, 0.000, 0.758], [0.500, 0.500, 0.500], [0.500, 0.500, 0.000], [0.000, 0.000, 0.249], [0.000, 0.000, 0.751], [0.000, 0.500, 0.000], [0.000, 0.500, 0.500], [0.500, 0.000, 0.000], [0.500, 0.000, 0.500], [0.500, 0.500, 0.246], [0.500, 0.500, 0.754]]}